No. 1
A relaxed structure of Nd4MgPt. Source: Materials Project, functional PBE.

calculated total energy = -117.88 eV for the cell shown
energy of formation from the pure elements = -0.455 eV per atom

Unit cell a=10.103 b=10.103 c=10.103 alpha=60.00 beta=60.00 gamma=60.00
Positions (direct):
Nd 0.184 0.184 0.816
Nd 0.184 0.816 0.184
Nd 0.184 0.816 0.816
Nd 0.403 0.403 0.403
Nd 0.403 0.403 0.792
Nd 0.403 0.792 0.403
Nd 0.560 0.560 0.940
Nd 0.560 0.940 0.560
Nd 0.560 0.940 0.940
Nd 0.792 0.403 0.403
Nd 0.816 0.184 0.184
Nd 0.816 0.184 0.816
Nd 0.816 0.816 0.184
Nd 0.940 0.560 0.560
Nd 0.940 0.560 0.940
Nd 0.940 0.940 0.560
Mg 0.170 0.170 0.170
Mg 0.170 0.170 0.489
Mg 0.170 0.489 0.170
Mg 0.489 0.170 0.170
Pt 0.177 0.608 0.608
Pt 0.608 0.177 0.608
Pt 0.608 0.608 0.177
Pt 0.608 0.608 0.608

=====

No. 2
A relaxed structure of SiO2. Source: Materials Project, functional PBE.

calculated total energy = -284.51 eV for the cell shown
energy of formation from the pure elements = -3.254 eV per atom

Unit cell a=10.680 b=10.680 c=10.680 alpha=134.72 beta=128.64 gamma=70.84
Positions (direct):
Si 0.061 0.796 0.995
Si 0.199 0.704 0.765
Si 0.243 0.265 0.848
Si 0.257 0.106 0.023
Si 0.301 0.066 0.505
Si 0.439 0.434 0.735
Si 0.560 0.535 0.152
Si 0.583 0.235 0.477
Si 0.616 0.965 0.525
Si 0.884 0.408 0.348
Si 0.917 0.394 0.652
Si 0.940 0.092 0.975
O 0.022 0.588 0.529
O 0.066 0.316 0.750
O 0.115 0.155 0.059
O 0.158 0.908 0.250
O 0.196 0.750 0.946
O 0.234 0.889 0.837
O 0.250 0.199 0.949
O 0.266 0.103 0.655
O 0.304 0.250 0.554
O 0.342 0.592 0.750
O 0.385 0.444 0.040
O 0.434 0.184 0.250
O 0.478 0.007 0.566
O 0.552 0.397 0.663
O 0.559 0.493 0.971
O 0.594 0.750 0.344
O 0.596 0.056 0.441
O 0.703 0.453 0.250
O 0.750 0.301 0.551
O 0.797 0.047 0.750
O 0.904 0.345 0.460
O 0.906 0.250 0.156
O 0.941 0.912 0.934
O 0.948 0.611 0.845

=====

No. 3
A relaxed structure of Mg6CdSn. Source: Materials Project, functional PBE.

calculated total energy = -14.97 eV for the cell shown
energy of formation from the pure elements = -0.055 eV per atom

Unit cell a=5.210 b=6.407 c=6.407 alpha=58.49 beta=90.00 gamma=90.00
Positions (direct):
Mg 0.000 0.000 0.000
Mg 0.000 0.002 0.495
Mg 0.000 0.495 0.002
Mg 0.500 0.164 0.164
Mg 0.500 0.168 0.666
Mg 0.500 0.666 0.168
Cd 0.000 0.487 0.487
Sn 0.500 0.670 0.670

=====

No. 4
A relaxed structure of Ce13O24. Source: Materials Project, functional PBE.

calculated total energy = -324.98 eV for the cell shown
energy of formation from the pure elements = -3.935 eV per atom

Unit cell a=6.747 b=6.751 c=12.304 alpha=89.96 beta=79.55 gamma=80.35
Positions (direct):
Ce 0.000 0.000 0.000
Ce 0.053 0.150 0.687
Ce 0.130 0.283 0.383
Ce 0.206 0.464 0.081
Ce 0.269 0.614 0.773
Ce 0.386 0.769 0.468
Ce 0.421 0.920 0.166
Ce 0.500 0.090 0.837
Ce 0.589 0.238 0.538
Ce 0.664 0.388 0.231
Ce 0.746 0.509 0.924
Ce 0.806 0.695 0.633
Ce 0.883 0.853 0.298
O 0.017 0.672 0.946
O 0.118 0.789 0.623
O 0.130 0.806 0.136
O 0.188 0.939 0.339
O 0.203 0.960 0.819
O 0.300 0.102 0.519
O 0.316 0.089 0.015
O 0.352 0.274 0.708
O 0.356 0.264 0.215
O 0.404 0.442 0.413
O 0.418 0.427 0.904
O 0.515 0.583 0.609
O 0.526 0.588 0.091
O 0.586 0.731 0.290
O 0.601 0.747 0.810
O 0.704 0.857 0.479
O 0.736 0.019 0.154
O 0.740 0.053 0.671
O 0.801 0.166 0.881
O 0.802 0.191 0.358
O 0.913 0.367 0.546
O 0.918 0.338 0.065
O 0.965 0.479 0.756
O 0.979 0.513 0.268

=====

No. 5
A relaxed structure of Mn3GeC. Source: Materials Project, functional PBE.

calculated total energy = -41.63 eV for the cell shown
energy of formation from the pure elements = -0.058 eV per atom

Unit cell a=3.793 b=3.793 c=3.793 alpha=90.00 beta=90.00 gamma=90.00
Positions (direct):
Mn 0.000 0.000 0.500
Mn 0.000 0.500 0.000
Mn 0.500 0.000 0.000
Ge 0.500 0.500 0.500
C 0.000 0.000 0.000

=====

No. 6
A relaxed structure of CaMg14Mo. Source: Materials Project, functional PBE.

calculated total energy = -33.24 eV for the cell shown
energy of formation from the pure elements = 0.126 eV per atom
ΔE to the lowest computed polymorph = 0.0 meV/atom

Unit cell a=10.176 b=6.430 c=6.430 alpha=60.06 beta=90.00 gamma=90.00
Positions (direct):
Ca 0.000 0.000 0.000
Mg 0.000 0.005 0.498
Mg 0.000 0.498 0.005
Mg 0.237 0.660 0.660
Mg 0.248 0.179 0.655
Mg 0.248 0.655 0.179
Mg 0.259 0.169 0.169
Mg 0.500 0.500 0.500
Mg 0.500 0.502 0.997
Mg 0.500 0.997 0.502
Mg 0.500 0.998 0.998
Mg 0.741 0.169 0.169
Mg 0.752 0.179 0.655
Mg 0.752 0.655 0.179
Mg 0.763 0.660 0.660
Mo 0.000 0.493 0.493

=====

No. 7
A relaxed structure of Ca6Si6O19. Source: Materials Project, functional PBE.

calculated total energy = -226.46 eV for the cell shown
energy of formation from the pure elements = -3.255 eV per atom
ΔE to the lowest computed polymorph = 1.1 meV/atom

Unit cell a=7.410 b=7.934 c=8.896 alpha=84.06 beta=77.98 gamma=62.18
Positions (direct):
Ca 0.170 0.337 0.130
Ca 0.246 0.508 0.495
Ca 0.319 0.664 0.865
Ca 0.681 0.336 0.135
Ca 0.754 0.492 0.505
Ca 0.830 0.663 0.870
Si 0.022 0.229 0.785
Si 0.410 0.763 0.208
Si 0.480 0.943 0.681
Si 0.520 0.057 0.319
Si 0.590 0.237 0.792
Si 0.978 0.771 0.215
O 0.023 0.675 0.049
O 0.030 0.378 0.648
O 0.091 0.709 0.705
O 0.161 0.832 0.219
O 0.235 0.019 0.765
O 0.407 0.284 0.294
O 0.417 0.967 0.225
O 0.465 0.335 0.958
O 0.499 0.607 0.342
O 0.500 0.000 0.500
O 0.501 0.393 0.658
O 0.535 0.665 0.042
O 0.583 0.033 0.775
O 0.593 0.716 0.706
O 0.765 0.981 0.235
O 0.839 0.168 0.781
O 0.909 0.291 0.295
O 0.970 0.622 0.352
O 0.977 0.325 0.951

=====

No. 8
A relaxed structure of SrSb2Pd2. Source: Materials Project, functional PBE.

calculated total energy = -48.41 eV for the cell shown
energy of formation from the pure elements = -0.779 eV per atom

Unit cell a=4.715 b=4.715 c=10.797 alpha=90.00 beta=90.00 gamma=90.00
Positions (direct):
Sr 0.250 0.250 0.241
Sr 0.750 0.750 0.759
Sb 0.250 0.250 0.874
Sb 0.250 0.750 0.500
Sb 0.750 0.250 0.500
Sb 0.750 0.750 0.126
Pd 0.250 0.250 0.628
Pd 0.250 0.750 0.000
Pd 0.750 0.250 0.000
Pd 0.750 0.750 0.372

=====

No. 9
A relaxed structure of LiDy2Os. Source: Materials Project, functional PBE.

calculated total energy = -23.31 eV for the cell shown
energy of formation from the pure elements = -0.240 eV per atom

Unit cell a=4.895 b=4.895 c=4.895 alpha=60.00 beta=60.00 gamma=60.00
Positions (direct):
Li 0.000 0.000 0.000
Dy 0.250 0.250 0.250
Dy 0.750 0.750 0.750
Os 0.500 0.500 0.500

=====

No. 10
A relaxed structure of Ba2NdTaO6. Source: Materials Project, functional PBE.

calculated total energy = -80.97 eV for the cell shown
energy of formation from the pure elements = -3.495 eV per atom

Unit cell a=6.108 b=6.108 c=6.158 alpha=120.04 beta=120.04 gamma=60.06
Positions (direct):
Ba 0.249 0.249 0.245
Ba 0.751 0.751 0.755
Nd 0.000 0.000 0.500
Ta 0.500 0.500 0.000
O 0.236 0.701 0.197
O 0.270 0.270 0.711
O 0.299 0.764 0.803
O 0.701 0.236 0.197
O 0.730 0.730 0.289
O 0.764 0.299 0.803

=====

No. 11
A relaxed structure of Sm4Fe31Co3C6. Source: Materials Project, functional PBE.

calculated total energy = -360.36 eV for the cell shown
energy of formation from the pure elements = -0.050 eV per atom

Unit cell a=6.501 b=6.532 c=13.045 alpha=83.61 beta=83.59 gamma=83.55
Positions (direct):
Sm 0.000 0.000 0.000
Sm 0.000 0.000 0.500
Sm 0.691 0.689 0.844
Sm 0.692 0.690 0.346
Fe 0.001 0.002 0.744
Fe 0.002 0.004 0.244
Fe 0.003 0.488 0.002
Fe 0.003 0.488 0.502
Fe 0.061 0.344 0.314
Fe 0.061 0.628 0.173
Fe 0.062 0.344 0.814
Fe 0.062 0.627 0.673
Fe 0.249 0.248 0.625
Fe 0.250 0.248 0.124
Fe 0.343 0.063 0.814
Fe 0.344 0.062 0.314
Fe 0.345 0.346 0.422
Fe 0.345 0.346 0.922
Fe 0.345 0.628 0.031
Fe 0.345 0.845 0.173
Fe 0.345 0.845 0.672
Fe 0.346 0.628 0.531
Fe 0.439 0.440 0.719
Fe 0.439 0.441 0.220
Fe 0.487 0.002 0.500
Fe 0.488 0.001 0.000
Fe 0.627 0.063 0.672
Fe 0.628 0.061 0.172
Fe 0.628 0.345 0.530
Fe 0.629 0.345 0.030
Fe 0.687 0.201 0.343
Fe 0.687 0.202 0.843
Fe 0.687 0.687 0.101
Fe 0.844 0.345 0.173
Fe 0.845 0.346 0.673
Co 0.206 0.688 0.344
Co 0.208 0.688 0.844
Co 0.689 0.688 0.603
C 0.345 0.844 0.422
C 0.345 0.844 0.922
C 0.844 0.345 0.422
C 0.844 0.844 0.672
C 0.845 0.345 0.922
C 0.845 0.844 0.173

=====

No. 12
A relaxed structure of ZrGaPt. Source: Materials Project, functional PBE.

calculated total energy = -123.44 eV for the cell shown
energy of formation from the pure elements = -0.975 eV per atom

Unit cell a=7.210 b=7.210 c=7.149 alpha=90.00 beta=90.00 gamma=120.00
Positions (direct):
Zr 0.022 0.613 0.250
Zr 0.387 0.408 0.250
Zr 0.408 0.387 0.750
Zr 0.592 0.978 0.250
Zr 0.613 0.022 0.750
Zr 0.978 0.592 0.750
Ga 0.000 0.267 0.000
Ga 0.000 0.267 0.500
Ga 0.267 0.000 0.000
Ga 0.267 0.000 0.500
Ga 0.733 0.733 0.000
Ga 0.733 0.733 0.500
Pt 0.000 0.000 0.250
Pt 0.000 0.000 0.750
Pt 0.333 0.667 0.531
Pt 0.333 0.667 0.969
Pt 0.667 0.333 0.031
Pt 0.667 0.333 0.469